Entry 1:
Density functional theory data (r2SCAN) for CdPt after structural relaxation.

Results
For the volume, the calculation gives 69 Å³ per cell. As for the formation enthalpy at 0 K: -385 meV per atom.

abc: 3.8461 4.2221 4.2221
angles: 90.00 90.00 90.00
With the nearest neighbours (Å) after each atom.
Atoms (fractional coordinates):
Cd 0.0000 0.5000 0.5000  8 Pt 2.86, 4 Cd 2.99
Cd 0.0000 0.0000 0.0000  8 Pt 2.86, 4 Cd 2.99
Pt 0.5000 0.0000 0.5000  8 Cd 2.86, 4 Pt 2.99
Pt 0.5000 0.5000 0.0000  8 Cd 2.86, 4 Pt 2.99

=====

Entry 2:
Density functional theory data (r2SCAN) for CeP5O14 after structural relaxation.

Results
For the volume, the calculation gives 1053 Å³ per cell. As for the formation enthalpy at 0 K: -2551 meV per atom. Its space group is Pmna (53).

abc: 8.8145 9.0990 13.1254
angles: 90.00 90.00 90.00
With the nearest neighbours (Å) after each atom.
Atoms (fractional coordinates):
O 0.4192 0.8825 0.1211  1 P 1.47
O 0.2852 0.1877 0.4064  2 P 1.56-1.62
O 0.5808 0.1175 0.8789  1 P 1.47
O 0.2852 0.3123 0.9064  2 P 1.56-1.62
P 0.8132 0.7466 0.5000  4 O 1.47-1.62
P 0.0000 0.0000 0.2054  4 O 1.47-1.61
O 0.7884 0.5867 0.5000  1 P 1.47
O 0.0337 0.3129 0.0000  1 P 1.48
O 0.7255 0.0917 0.6129  1 P 1.46
O 0.9133 0.1149 0.8478  1 P 1.47
O 0.9133 0.3851 0.3478  1 P 1.47
O 0.7148 0.6877 0.0936  2 P 1.56-1.62
P 0.8132 0.7534 0.0000  4 O 1.47-1.62
O 0.7884 0.9133 0.0000  1 P 1.47
Ce 0.2237 0.6902 0.5000  8 O 2.43-2.53
O 0.2116 0.4133 0.5000  1 P 1.47
O 0.8905 0.9145 0.2835  2 P 1.56-1.61
O 0.1095 0.0855 0.7165  2 P 1.56-1.61
O 0.9663 0.6871 0.0000  1 P 1.48
P 0.1868 0.2466 0.0000  4 O 1.47-1.62
O 0.7148 0.6877 0.9064  2 P 1.56-1.62
P 0.7360 0.9493 0.3362  4 O 1.46-1.56
O 0.7148 0.8123 0.5936  2 P 1.56-1.62
O 0.3877 0.0822 0.7455  2 P 1.56-1.61
O 0.1095 0.0855 0.2835  2 P 1.56-1.61
O 0.2852 0.1877 0.5936  2 P 1.56-1.62
P 0.5000 0.5000 0.3243  4 O 1.47-1.61
P 0.0000 0.5000 0.7054  4 O 1.47-1.61
P 0.1868 0.2534 0.5000  4 O 1.47-1.62
O 0.0867 0.6149 0.3478  1 P 1.47
O 0.1095 0.4145 0.7835  2 P 1.56-1.61
O 0.9663 0.8129 0.5000  1 P 1.48
P 0.2640 0.4493 0.8362  4 O 1.46-1.56
P 0.2640 0.0507 0.3362  4 O 1.46-1.56
O 0.4192 0.6175 0.3789  1 P 1.47
O 0.5808 0.3825 0.6211  1 P 1.47
O 0.7255 0.4083 0.1129  1 P 1.46
O 0.9133 0.3851 0.6522  1 P 1.47
Ce 0.7763 0.3098 0.5000  8 O 2.43-2.53
P 0.7360 0.5507 0.1638  4 O 1.46-1.56
O 0.6123 0.5822 0.2455  2 P 1.56-1.61
P 0.7360 0.5507 0.8362  4 O 1.46-1.56
O 0.4192 0.8825 0.8789  1 P 1.47
O 0.6123 0.5822 0.7545  2 P 1.56-1.61
O 0.7255 0.4083 0.8871  1 P 1.46
O 0.0867 0.8851 0.8478  1 P 1.47
P 0.5000 0.0000 0.1757  4 O 1.47-1.61
Ce 0.7763 0.1902 0.0000  8 O 2.43-2.53
O 0.2745 0.5917 0.1129  1 P 1.46
Ce 0.2237 0.8098 0.0000  8 O 2.43-2.53
O 0.0867 0.8851 0.1522  1 P 1.47
O 0.8905 0.5855 0.2165  2 P 1.56-1.61
O 0.5808 0.1175 0.1211  1 P 1.47
O 0.9133 0.1149 0.1522  1 P 1.47
P 0.0000 0.0000 0.7946  4 O 1.47-1.61
O 0.8905 0.5855 0.7835  2 P 1.56-1.61
O 0.1095 0.4145 0.2165  2 P 1.56-1.61
P 0.0000 0.5000 0.2946  4 O 1.47-1.61
O 0.3877 0.0822 0.2545  2 P 1.56-1.61
O 0.2852 0.3123 0.0936  2 P 1.56-1.62
O 0.4192 0.6175 0.6211  1 P 1.47
O 0.0337 0.1871 0.5000  1 P 1.48
O 0.3877 0.4178 0.7545  2 P 1.56-1.61
O 0.2745 0.9083 0.6129  1 P 1.46
O 0.7255 0.0917 0.3871  1 P 1.46
O 0.8905 0.9145 0.7165  2 P 1.56-1.61
P 0.5000 0.5000 0.6757  4 O 1.47-1.61
O 0.3877 0.4178 0.2455  2 P 1.56-1.61
P 0.2640 0.4493 0.1638  4 O 1.46-1.56
O 0.2745 0.5917 0.8871  1 P 1.46
P 0.2640 0.0507 0.6638  4 O 1.46-1.56
P 0.7360 0.9493 0.6638  4 O 1.46-1.56
O 0.2745 0.9083 0.3871  1 P 1.46
O 0.6123 0.9178 0.2545  2 P 1.56-1.61
P 0.5000 0.0000 0.8243  4 O 1.47-1.61
O 0.5808 0.3825 0.3789  1 P 1.47
O 0.6123 0.9178 0.7455  2 P 1.56-1.61
O 0.2116 0.0867 0.0000  1 P 1.47
O 0.7148 0.8123 0.4064  2 P 1.56-1.62
O 0.0867 0.6149 0.6522  1 P 1.47

=====

Entry 3:
Density functional theory data (r2SCAN) for Tb4MgIr after structural relaxation.

Results
For the volume, the calculation gives 649 Å³ per cell. As for the formation enthalpy at 0 K: -483 meV per atom. Its space group is F-43m (216).

abc: 9.7183 9.7182 9.7182
angles: 60.00 60.00 60.00
With the nearest neighbours (Å) after each atom.
Atoms (fractional coordinates):
Tb 0.4375 0.0625 0.0625  2 Mg 3.33, 2 Ir 3.51, 10 Tb 3.51-3.65
Tb 0.0625 0.0625 0.4375  2 Mg 3.33, 2 Ir 3.51, 10 Tb 3.51-3.65
Ir 0.4236 0.8588 0.8588  6 Tb 2.82-2.83
Ir 0.8588 0.8588 0.4236  6 Tb 2.82-2.83
Ir 0.8588 0.4236 0.8588  6 Tb 2.82-2.83
Ir 0.8588 0.8588 0.8588  6 Tb 2.82-2.83
Tb 0.1878 0.1878 0.8122  2 Ir 2.82
Tb 0.0381 0.6540 0.6540  3 Ir 2.83
Tb 0.4375 0.4375 0.0625  2 Mg 3.33, 2 Ir 3.51, 10 Tb 3.51-3.65
Tb 0.8122 0.1877 0.1878  2 Ir 2.82
Mg 0.4211 0.4211 0.4211  3 Mg 3.07, 3 Tb 3.33
Mg 0.4211 0.4211 0.7367  3 Mg 3.07, 3 Tb 3.33
Tb 0.8122 0.1878 0.8122  2 Ir 2.82
Tb 0.6540 0.6540 0.0381  3 Ir 2.83
Tb 0.4375 0.0625 0.4375  2 Mg 3.33, 2 Ir 3.51, 10 Tb 3.51-3.65
Mg 0.4211 0.7367 0.4211  3 Mg 3.07, 3 Tb 3.33
Tb 0.0625 0.4375 0.0625  2 Mg 3.33, 2 Ir 3.51, 10 Tb 3.51-3.65
Tb 0.1878 0.8122 0.8123  2 Ir 2.82
Mg 0.7367 0.4211 0.4211  3 Mg 3.07, 3 Tb 3.33
Tb 0.6540 0.6540 0.6540  3 Ir 2.83
Tb 0.1877 0.8122 0.1878  2 Ir 2.82
Tb 0.8123 0.8122 0.1878  2 Ir 2.82
Tb 0.0625 0.4375 0.4375  2 Mg 3.33, 2 Ir 3.51, 10 Tb 3.51-3.65
Tb 0.6540 0.0381 0.6540  3 Ir 2.83